{
  "formula": "As2O9",
  "functional": "PBE",
  "state": "relaxed",
  "cell": [[7.3948, 0.0000, 0.0000], [0.0000, 13.9579, 0.0000], [-3.3850, 0.0000, 7.9989]],
  "species": ["As", "As", "As", "As", "As", "As", "As", "As", "O", "O", "O", "O", "O", "O", "O", "O", "O", "O", "O", "O", "O", "O", "O", "O", "O", "O", "O", "O", "O", "O", "O", "O", "O", "O", "O", "O", "O", "O", "O", "O", "O", "O", "O", "O"],
  "frac_coords": [[0.0720, 0.1273, 0.0574], [0.0720, 0.3727, 0.5574], [0.2583, 0.6213, 0.0530], [0.2583, 0.8787, 0.5530], [0.7417, 0.1213, 0.4470], [0.7417, 0.3787, 0.9470], [0.9280, 0.6273, 0.4426], [0.9280, 0.8727, 0.9426], [0.0077, 0.6690, 0.8854], [0.0077, 0.8310, 0.3854], [0.0113, 0.1278, 0.2764], [0.0113, 0.3722, 0.7764], [0.1062, 0.2272, 0.5628], [0.1062, 0.2728, 0.0628], [0.1385, 0.5964, 0.5928], [0.1385, 0.9036, 0.0928], [0.1785, 0.6370, 0.2569], [0.1785, 0.8630, 0.7569], [0.2519, 0.5049, 0.0204], [0.2519, 0.9951, 0.5204], [0.4214, 0.1034, 0.0115], [0.4214, 0.3966, 0.5115], [0.4237, 0.1076, 0.8714], [0.4237, 0.3924, 0.3714], [0.4365, 0.7007, 0.1004], [0.4365, 0.7993, 0.6004], [0.5635, 0.2007, 0.3996], [0.5635, 0.2993, 0.8996], [0.5763, 0.6076, 0.6286], [0.5763, 0.8924, 0.1286], [0.5786, 0.6034, 0.4885], [0.5786, 0.8966, 0.9885], [0.7481, 0.0049, 0.4796], [0.7481, 0.4951, 0.9796], [0.8215, 0.1370, 0.2431], [0.8215, 0.3630, 0.7431], [0.8615, 0.0964, 0.9072], [0.8615, 0.4036, 0.4072], [0.8938, 0.7272, 0.9372], [0.8938, 0.7728, 0.4372], [0.9887, 0.6278, 0.2236], [0.9887, 0.8722, 0.7236], [0.9923, 0.1690, 0.6146], [0.9923, 0.3310, 0.1146]],
  "magnetic_moment_mub_per_cell": 3.995,
  "formation_enthalpy_0k_mev_per_atom": -286,
  "dft_energy_ev_per_atom": -5.05
}

***

{
  "formula": "Lu2TiCuO6",
  "functional": "PBE",
  "state": "relaxed",
  "cell": [[3.5358, 0.0000, 0.0000], [-1.7679, 3.0620, 0.0000], [0.0000, 0.0000, 11.2978]],
  "species": ["Lu", "Lu", "Ti", "Cu", "O", "O", "O", "O", "O", "O"],
  "frac_coords": [[0.0000, 0.0000, 0.2282], [0.0000, 0.0000, 0.7718], [0.6667, 0.3333, 0.5000], [0.3333, 0.6667, 0.0000], [0.0000, 0.0000, 0.0000], [0.0000, 0.0000, 0.5000], [0.3333, 0.6667, 0.1679], [0.3333, 0.6667, 0.8321], [0.6667, 0.3333, 0.3333], [0.6667, 0.3333, 0.6667]],
  "magnetic_moment_mub_per_cell": 1.064,
  "formation_enthalpy_0k_mev_per_atom": -3166,
  "dft_energy_ev_per_atom": -7.83
}

***

{
  "formula": "BaU2Te5",
  "functional": "PBE",
  "state": "relaxed",
  "cell": [[-4.1539, 4.1539, 7.5786], [4.1539, -4.1539, 7.5786], [4.1539, 4.1539, -7.5786]],
  "species": ["Ba", "Ba", "U", "U", "U", "U", "Te", "Te", "Te", "Te", "Te", "Te", "Te", "Te", "Te", "Te"],
  "frac_coords": [[0.2500, 0.2500, 0.0000], [0.7500, 0.7500, 0.0000], [0.1509, 0.6509, 0.8019], [0.3491, 0.1509, 0.5000], [0.6509, 0.8491, 0.5000], [0.8491, 0.3491, 0.1981], [0.0000, 0.0000, 0.0000], [0.0163, 0.2169, 0.5000], [0.2169, 0.7169, 0.2006], [0.2831, 0.4837, 0.5000], [0.4837, 0.9837, 0.2006], [0.5000, 0.5000, 0.0000], [0.5163, 0.0163, 0.7994], [0.7169, 0.5163, 0.5000], [0.7831, 0.2831, 0.7994], [0.9837, 0.7831, 0.5000]],
  "formation_enthalpy_0k_mev_per_atom": -1221,
  "dft_energy_ev_per_atom": -5.98
}

***

{
  "formula": "Ba3Nb2P4O18",
  "functional": "PBE",
  "state": "relaxed",
  "cell": [[4.9717, 0.0000, 0.0000], [1.8524, 9.0045, 0.0000], [1.8806, -0.1137, 9.4993]],
  "species": ["Ba", "Ba", "Ba", "Nb", "Nb", "P", "P", "P", "P", "O", "O", "O", "O", "O", "O", "O", "O", "O", "O", "O", "O", "O", "O", "O", "O", "O", "O"],
  "frac_coords": [[0.0000, 0.0000, 0.0000], [0.4522, 0.7828, 0.4105], [0.5478, 0.2172, 0.5895], [0.2436, 0.6083, 0.7715], [0.7564, 0.3917, 0.2285], [0.1906, 0.6346, 0.1405], [0.3083, 0.1337, 0.2825], [0.6917, 0.8663, 0.7175], [0.8094, 0.3654, 0.8595], [0.0099, 0.7568, 0.2412], [0.0436, 0.1947, 0.2151], [0.0576, 0.4953, 0.1372], [0.2222, 0.0864, 0.4351], [0.2377, 0.5621, 0.5948], [0.2577, 0.6918, 0.9895], [0.4616, 0.2666, 0.2893], [0.4704, 0.5776, 0.1969], [0.4889, 0.0063, 0.1872], [0.5111, 0.9937, 0.8128], [0.5296, 0.4224, 0.8031], [0.5384, 0.7334, 0.7107], [0.7423, 0.3082, 0.0105], [0.7623, 0.4379, 0.4052], [0.7778, 0.9136, 0.5649], [0.9424, 0.5047, 0.8628], [0.9564, 0.8053, 0.7849], [0.9901, 0.2432, 0.7588]],
  "magnetic_moment_mub_per_cell": 0.003,
  "formation_enthalpy_0k_mev_per_atom": -3123,
  "dft_energy_ev_per_atom": -7.73
}

***

{
  "formula": "TmAl3C3",
  "functional": "PBE",
  "state": "relaxed",
  "cell": [[3.4142, 0.0000, 0.0000], [-1.7071, 2.9568, 0.0000], [0.0000, 0.0000, 17.2129]],
  "species": ["Tm", "Tm", "Al", "Al", "Al", "Al", "Al", "Al", "C", "C", "C", "C", "C", "C"],
  "frac_coords": [[0.0000, 0.0000, 0.0000], [0.0000, 0.0000, 0.5000], [0.3333, 0.6667, 0.1325], [0.3333, 0.6667, 0.3675], [0.3333, 0.6667, 0.7500], [0.6667, 0.3333, 0.2500], [0.6667, 0.3333, 0.6325], [0.6667, 0.3333, 0.8675], [0.3333, 0.6667, 0.2500], [0.3333, 0.6667, 0.5911], [0.3333, 0.6667, 0.9089], [0.6667, 0.3333, 0.0911], [0.6667, 0.3333, 0.4089], [0.6667, 0.3333, 0.7500]],
  "formation_enthalpy_0k_mev_per_atom": -325,
  "dft_energy_ev_per_atom": -6.52
}

***

{
  "formula": "ZnCu3Bi4O12",
  "functional": "PBE",
  "state": "relaxed",
  "cell": [[-4.0987, 4.0987, 4.0987], [4.0987, -4.0987, 4.0987], [4.0987, 4.0987, -4.0987]],
  "species": ["Zn", "Cu", "Cu", "Cu", "Bi", "Bi", "Bi", "Bi", "O", "O", "O", "O", "O", "O", "O", "O", "O", "O", "O", "O"],
  "frac_coords": [[0.0000, 0.0000, 0.0000], [0.0000, 0.5000, 0.5000], [0.5000, 0.0000, 0.5000], [0.5000, 0.5000, 0.0000], [0.0000, 0.0000, 0.5000], [0.0000, 0.5000, 0.0000], [0.5000, 0.0000, 0.0000], [0.5000, 0.5000, 0.5000], [0.1544, 0.3223, 0.4767], [0.1544, 0.6777, 0.8321], [0.1679, 0.8456, 0.3223], [0.3223, 0.1679, 0.8456], [0.3223, 0.4767, 0.1544], [0.4767, 0.1544, 0.3223], [0.5233, 0.8456, 0.6777], [0.6777, 0.5233, 0.8456], [0.6777, 0.8321, 0.1544], [0.8321, 0.1544, 0.6777], [0.8456, 0.3223, 0.1679], [0.8456, 0.6777, 0.5233]],
  "magnetic_moment_mub_per_cell": 0.170,
  "formation_enthalpy_0k_mev_per_atom": -1185,
  "dft_energy_ev_per_atom": -5.20
}

***

{
  "formula": "Li3CuF6",
  "functional": "PBE",
  "state": "relaxed",
  "cell": [[9.7566, 0.0000, 0.0000], [0.0000, 8.4338, 0.0000], [0.0000, 0.0000, 5.0179]],
  "species": ["Li", "Li", "Li", "Li", "Li", "Li", "Li", "Li", "Li", "Li", "Li", "Li", "Cu", "Cu", "Cu", "Cu", "F", "F", "F", "F", "F", "F", "F", "F", "F", "F", "F", "F", "F", "F", "F", "F", "F", "F", "F", "F", "F", "F", "F", "F"],
  "frac_coords": [[0.1058, 0.0469, 0.0000], [0.1254, 0.6463, 0.5132], [0.1464, 0.4506, 0.0077], [0.3536, 0.9506, 0.5077], [0.3746, 0.1463, 0.0132], [0.3942, 0.5469, 0.5000], [0.6058, 0.4531, 0.0000], [0.6254, 0.8537, 0.5132], [0.6464, 0.0494, 0.0077], [0.8536, 0.5494, 0.5077], [0.8746, 0.3537, 0.0132], [0.8942, 0.9531, 0.5000], [0.1280, 0.2603, 0.5051], [0.3720, 0.7603, 0.0051], [0.6280, 0.2397, 0.5051], [0.8720, 0.7397, 0.0051], [0.0104, 0.4153, 0.3275], [0.0225, 0.2533, 0.8277], [0.0260, 0.0923, 0.3471], [0.2262, 0.4404, 0.6516], [0.2384, 0.2694, 0.1902], [0.2468, 0.1122, 0.6884], [0.2532, 0.6122, 0.1884], [0.2616, 0.7694, 0.6902], [0.2738, 0.9404, 0.1516], [0.4740, 0.5923, 0.8471], [0.4775, 0.7533, 0.3277], [0.4896, 0.9153, 0.8275], [0.5104, 0.0847, 0.3275], [0.5225, 0.2467, 0.8277], [0.5260, 0.4077, 0.3471], [0.7262, 0.0596, 0.6516], [0.7384, 0.2306, 0.1902], [0.7468, 0.3878, 0.6884], [0.7532, 0.8878, 0.1884], [0.7616, 0.7306, 0.6902], [0.7738, 0.5596, 0.1516], [0.9740, 0.9077, 0.8471], [0.9775, 0.7467, 0.3277], [0.9896, 0.5847, 0.8275]],
  "e_ij_max_c_m2": 0.196,
  "relative_energy_ev_per_fu": 0.015,
  "formation_enthalpy_0k_mev_per_atom": -2606,
  "dft_energy_ev_per_atom": -4.46
}

***

{
  "formula": "RbPrP3HO10",
  "functional": "PBE",
  "state": "relaxed",
  "cell": [[7.1947, 0.0000, 0.0000], [0.9290, 7.6001, 0.0000], [2.4064, 2.1766, 8.2379]],
  "species": ["Rb", "Rb", "Pr", "Pr", "P", "P", "P", "P", "P", "P", "H", "H", "O", "O", "O", "O", "O", "O", "O", "O", "O", "O", "O", "O", "O", "O", "O", "O", "O", "O", "O", "O"],
  "frac_coords": [[0.2121, 0.1808, 0.0276], [0.7879, 0.8192, 0.9724], [0.2302, 0.1340, 0.5094], [0.7698, 0.8660, 0.4906], [0.1342, 0.5340, 0.6505], [0.3182, 0.7905, 0.3529], [0.3318, 0.7249, 0.8152], [0.6682, 0.2751, 0.1848], [0.6818, 0.2095, 0.6471], [0.8658, 0.4660, 0.3495], [0.3153, 0.6755, 0.0797], [0.6847, 0.3245, 0.9203], [0.0437, 0.3421, 0.3270], [0.1145, 0.3310, 0.6928], [0.1344, 0.9186, 0.3789], [0.2051, 0.8949, 0.7684], [0.2579, 0.5850, 0.4633], [0.2659, 0.6276, 0.0016], [0.2797, 0.5623, 0.7493], [0.3973, 0.7736, 0.1813], [0.4524, 0.2536, 0.2438], [0.4586, 0.8517, 0.4301], [0.5414, 0.1483, 0.5699], [0.5476, 0.7464, 0.7562], [0.6027, 0.2264, 0.8187], [0.7203, 0.4377, 0.2507], [0.7341, 0.3724, 0.9984], [0.7421, 0.4150, 0.5367], [0.7949, 0.1051, 0.2316], [0.8656, 0.0814, 0.6211], [0.8855, 0.6690, 0.3072], [0.9563, 0.6579, 0.6730]],
  "magnetic_moment_mub_per_cell": 0.003,
  "relative_energy_ev_per_fu": 0.000,
  "formation_enthalpy_0k_mev_per_atom": -2839,
  "dft_energy_ev_per_atom": -7.09
}

***

{
  "formula": "ThFe4Co",
  "functional": "PBE",
  "state": "relaxed",
  "cell": [[4.0527, 0.0000, 0.0000], [0.0000, 2.5361, 4.3831], [0.0000, -2.5361, 4.3831]],
  "species": ["Th", "Fe", "Fe", "Fe", "Fe", "Co"],
  "frac_coords": [[0.0000, 0.0000, 0.0000], [0.0000, 0.6665, 0.6665], [0.5000, 0.9996, 0.5002], [0.5000, 0.5002, 0.9996], [0.5000, 0.5002, 0.5002], [0.0000, 0.3333, 0.3333]],
  "magnetic_moment_mub_per_cell": 10.195,
  "formation_enthalpy_0k_mev_per_atom": -85,
  "dft_energy_ev_per_atom": -8.15
}

***

{
  "formula": "Eu7Cu44As23",
  "functional": "PBE",
  "state": "relaxed",
  "cell": [[0.0000, 8.3713, 8.3713], [8.3713, 0.0000, 8.3713], [8.3713, 8.3713, 0.0000]],
  "species": ["Eu", "Eu", "Eu", "Eu", "Eu", "Eu", "Eu", "Cu", "Cu", "Cu", "Cu", "Cu", "Cu", "Cu", "Cu", "Cu", "Cu", "Cu", "Cu", "Cu", "Cu", "Cu", "Cu", "Cu", "Cu", "Cu", "Cu", "Cu", "Cu", "Cu", "Cu", "Cu", "Cu", "Cu", "Cu", "Cu", "Cu", "Cu", "Cu", "Cu", "Cu", "Cu", "Cu", "Cu", "Cu", "Cu", "Cu", "Cu", "Cu", "Cu", "Cu", "As", "As", "As", "As", "As", "As", "As", "As", "As", "As", "As", "As", "As", "As", "As", "As", "As", "As", "As", "As", "As", "As", "As"],
  "frac_coords": [[0.0000, 0.0000, 0.0000], [0.2469, 0.2469, 0.7531], [0.2469, 0.7531, 0.2469], [0.2469, 0.7531, 0.7531], [0.7531, 0.2469, 0.2469], [0.7531, 0.2469, 0.7531], [0.7531, 0.7531, 0.2469], [0.0000, 0.0000, 0.3639], [0.0000, 0.0000, 0.6361], [0.0000, 0.3639, 0.0000], [0.0000, 0.3639, 0.6361], [0.0000, 0.6361, 0.0000], [0.0000, 0.6361, 0.3639], [0.0193, 0.2539, 0.2539], [0.0193, 0.2539, 0.4728], [0.0193, 0.4728, 0.2539], [0.2364, 0.5879, 0.5879], [0.2539, 0.0193, 0.2539], [0.2539, 0.0193, 0.4728], [0.2539, 0.2539, 0.0193], [0.2539, 0.2539, 0.4728], [0.2539, 0.4728, 0.0193], [0.2539, 0.4728, 0.2539], [0.3639, 0.0000, 0.0000], [0.3639, 0.0000, 0.6361], [0.3639, 0.6361, 0.0000], [0.4121, 0.4121, 0.4121], [0.4121, 0.4121, 0.7636], [0.4121, 0.7636, 0.4121], [0.4728, 0.0193, 0.2539], [0.4728, 0.2539, 0.0193], [0.4728, 0.2539, 0.2539], [0.5272, 0.7461, 0.7461], [0.5272, 0.7461, 0.9807], [0.5272, 0.9807, 0.7461], [0.5879, 0.2364, 0.5879], [0.5879, 0.5879, 0.2364], [0.5879, 0.5879, 0.5879], [0.6361, 0.0000, 0.0000], [0.6361, 0.0000, 0.3639], [0.6361, 0.3639, 0.0000], [0.7461, 0.5272, 0.7461], [0.7461, 0.5272, 0.9807], [0.7461, 0.7461, 0.5272], [0.7461, 0.7461, 0.9807], [0.7461, 0.9807, 0.5272], [0.7461, 0.9807, 0.7461], [0.7636, 0.4121, 0.4121], [0.9807, 0.5272, 0.7461], [0.9807, 0.7461, 0.5272], [0.9807, 0.7461, 0.7461], [0.1086, 0.1086, 0.1086], [0.1086, 0.1086, 0.6741], [0.1086, 0.6741, 0.1086], [0.1557, 0.5000, 0.5000], [0.1557, 0.5000, 0.8443], [0.1557, 0.8443, 0.5000], [0.2500, 0.2500, 0.2500], [0.3259, 0.8914, 0.8914], [0.5000, 0.1557, 0.5000], [0.5000, 0.1557, 0.8443], [0.5000, 0.5000, 0.1557], [0.5000, 0.5000, 0.5000], [0.5000, 0.5000, 0.8443], [0.5000, 0.8443, 0.1557], [0.5000, 0.8443, 0.5000], [0.6741, 0.1086, 0.1086], [0.7500, 0.7500, 0.7500], [0.8443, 0.1557, 0.5000], [0.8443, 0.5000, 0.1557], [0.8443, 0.5000, 0.5000], [0.8914, 0.3259, 0.8914], [0.8914, 0.8914, 0.3259], [0.8914, 0.8914, 0.8914]],
  "magnetic_moment_mub_per_cell": 46.878,
  "formation_enthalpy_0k_mev_per_atom": -264,
  "dft_energy_ev_per_atom": -5.12
}

***

{
  "formula": "TlP5",
  "functional": "PBE",
  "state": "relaxed",
  "cell": [[6.5212, 0.0000, 0.0000], [0.0000, 7.2636, 0.0000], [0.0000, 0.0000, 12.3959]],
  "species": ["Tl", "Tl", "Tl", "Tl", "P", "P", "P", "P", "P", "P", "P", "P", "P", "P", "P", "P", "P", "P", "P", "P", "P", "P", "P", "P"],
  "frac_coords": [[0.0000, 0.0314, 0.0000], [0.0000, 0.9686, 0.5000], [0.5000, 0.2248, 0.6613], [0.5000, 0.7752, 0.1613], [0.0000, 0.3476, 0.1715], [0.0000, 0.3574, 0.7021], [0.0000, 0.3901, 0.8749], [0.0000, 0.6099, 0.3749], [0.0000, 0.6426, 0.2021], [0.0000, 0.6524, 0.6715], [0.2459, 0.4113, 0.4197], [0.2459, 0.5887, 0.9197], [0.2507, 0.2285, 0.2706], [0.2507, 0.7715, 0.7706], [0.5000, 0.1877, 0.0226], [0.5000, 0.3570, 0.1700], [0.5000, 0.3873, 0.8905], [0.5000, 0.6127, 0.3905], [0.5000, 0.6430, 0.6700], [0.5000, 0.8123, 0.5226], [0.7493, 0.2285, 0.2706], [0.7493, 0.7715, 0.7706], [0.7541, 0.4113, 0.4197], [0.7541, 0.5887, 0.9197]],
  "e_ij_max_c_m2": 0.292,
  "formation_enthalpy_0k_mev_per_atom": -25,
  "dft_energy_ev_per_atom": -4.93
}

***

{
  "formula": "ErNiP",
  "functional": "PBE",
  "state": "relaxed",
  "cell": [[3.8813, 0.0000, 0.0000], [-1.9407, 3.3613, 0.0000], [0.0000, 0.0000, 15.2888]],
  "species": ["Er", "Er", "Er", "Er", "Ni", "Ni", "Ni", "Ni", "P", "P", "P", "P"],
  "frac_coords": [[0.0000, 0.0000, 0.0000], [0.0000, 0.0000, 0.2500], [0.0000, 0.0000, 0.5000], [0.0000, 0.0000, 0.7500], [0.3333, 0.6667, 0.1284], [0.3333, 0.6667, 0.3716], [0.6667, 0.3333, 0.6284], [0.6667, 0.3333, 0.8716], [0.3333, 0.6667, 0.6215], [0.3333, 0.6667, 0.8785], [0.6667, 0.3333, 0.1215], [0.6667, 0.3333, 0.3785]],
  "formation_enthalpy_0k_mev_per_atom": -1221,
  "dft_energy_ev_per_atom": -6.47
}